Entry 1:
The following is a PBE calculation of crystalline La2MgCu4O8 at its relaxed geometry, from the Materials Project.

Values from the calculation:
Formation energy from the elements: -29.8 eV/f.u.
Space-group type: No. 82

```
La2MgCu4O8
1.0
5.183 0.099 -2.616
-1.430 4.965 -2.649
0.374 0.556 7.207
O Cu La Mg
8 4 2 1
direct
0.720 0.533 0.905
0.845 0.722 0.379
0.128 0.280 0.595
0.185 0.872 0.905
0.278 0.466 0.121
0.843 0.155 0.121
0.467 0.815 0.595
0.534 0.157 0.379
0.515 0.065 0.080
0.935 0.435 0.420
0.485 0.485 0.420
0.566 0.515 0.080
0.125 0.875 0.250
0.875 0.125 0.750
0.375 0.625 0.750
```

Entry 2:
The following is a PBE calculation of crystalline Sr2YTaO6 at its relaxed geometry, from the Materials Project.

Values from the calculation:
Formation energy from the elements: -35.9 eV/f.u.
Space-group type: No. 14

```
Sr2YTaO6
1.0
-3.798 -4.314 1.517
0.102 -2.022 -5.492
6.503 -6.964 -3.523
Y O Sr Ta
2 12 4 2
direct
0.500 0.000 0.500
0.000 0.000 0.000
0.975 0.816 0.266
0.226 0.352 0.954
0.525 0.816 0.766
0.475 0.184 0.234
0.726 0.648 0.546
0.197 0.733 0.541
0.274 0.352 0.454
0.025 0.184 0.734
0.803 0.267 0.459
0.697 0.267 0.959
0.774 0.648 0.046
0.303 0.733 0.041
0.537 0.742 0.249
0.037 0.258 0.251
0.463 0.258 0.751
0.963 0.742 0.749
0.000 0.500 0.500
0.500 0.500 0.000
```

Entry 3:
The following is a PBE calculation of crystalline Ti2AlZn at its relaxed geometry, from the Materials Project.

Values from the calculation:
Formation energy from the elements: -0.1 eV/f.u.
Space-group type: No. 216

```
Ti2AlZn
1.0
0.000 3.206 3.206
3.206 0.000 3.206
3.206 3.206 0.000
Ti Zn Al
2 1 1
direct
0.250 0.250 0.250
0.000 0.000 0.000
0.500 0.500 0.500
0.750 0.750 0.750
```

Entry 4:
The following is a PBE calculation of crystalline UAl2 at its relaxed geometry, from the Materials Project.

Values from the calculation:
Formation energy from the elements: -0.6 eV/f.u.
Space-group type: No. 194

```
UAl2
1.0
3.588 1.595 3.988
-4.735 -2.639 1.389
7.950 -14.891 -1.195
Al U
16 8
direct
0.000 0.500 0.000
0.842 0.684 0.750
0.158 0.316 0.250
0.316 0.158 0.750
0.667 0.333 0.873
0.667 0.333 0.627
0.684 0.842 0.250
0.158 0.842 0.250
0.500 0.000 0.500
0.500 0.500 0.000
0.333 0.667 0.127
0.842 0.158 0.750
0.500 0.500 0.500
0.500 0.000 0.000
0.333 0.667 0.373
0.000 0.500 0.500
0.000 0.000 0.923
0.667 0.333 0.173
0.000 0.000 0.577
0.333 0.667 0.673
0.000 0.000 0.077
0.333 0.667 0.827
0.000 0.000 0.423
0.667 0.333 0.327
```

Entry 5:
The following is a PBE calculation of crystalline Mg14FeSi at its relaxed geometry, from the Materials Project.

Values from the calculation:
Formation energy from the elements: 2.0 eV/f.u.
E above lowest polymorph: 0.038 eV/atom
Space-group type: No. 187

```
Mg14FeSi
1.0
6.156 0.000 0.000
-3.078 5.331 0.000
0.000 0.000 10.003
Mg Fe Si
14 1 1
direct
0.847 0.174 0.368
0.166 0.833 0.125
0.833 0.667 0.875
0.667 0.833 0.125
0.326 0.653 0.368
0.326 0.653 0.882
0.667 0.833 0.625
0.326 0.174 0.882
0.847 0.174 0.882
0.833 0.667 0.375
0.667 0.333 0.625
0.167 0.833 0.625
0.326 0.174 0.368
0.667 0.334 0.125
0.167 0.333 0.125
0.167 0.333 0.625
```

Entry 6:
The following is a PBE calculation of crystalline SiO2 at its relaxed geometry, from the Materials Project.

Values from the calculation:
Formation energy from the elements: -9.8 eV/f.u.
Space-group type: No. 63

```
SiO2
1.0
9.182 -10.312 0.000
9.182 10.312 0.000
0.000 0.000 7.576
Si O
24 48
direct
0.295 0.536 0.750
0.614 0.992 0.956
0.379 0.232 0.544
0.614 0.992 0.544
0.386 0.008 0.044
0.008 0.386 0.956
0.768 0.621 0.956
0.621 0.768 0.456
0.232 0.379 0.456
0.464 0.705 0.750
0.386 0.008 0.456
0.307 0.862 0.750
0.992 0.614 0.044
0.992 0.614 0.456
0.008 0.386 0.544
0.862 0.307 0.250
0.705 0.464 0.250
0.232 0.379 0.044
0.768 0.621 0.544
0.693 0.138 0.250
0.138 0.693 0.750
0.379 0.232 0.956
0.536 0.295 0.250
0.621 0.768 0.044
0.799 0.201 0.250
0.360 0.117 0.001
0.683 0.070 0.074
0.280 0.280 0.000
0.070 0.683 0.926
0.000 0.500 0.500
0.930 0.317 0.426
0.791 0.393 0.250
0.930 0.317 0.074
0.360 0.117 0.499
0.285 0.469 0.573
0.715 0.531 0.427
0.883 0.640 0.001
0.500 0.000 0.500
0.883 0.640 0.499
0.531 0.715 0.573
0.285 0.469 0.927
0.248 0.409 0.250
0.599 0.401 0.250
0.640 0.883 0.501
0.409 0.248 0.750
0.752 0.591 0.750
0.117 0.360 0.999
0.607 0.209 0.250
0.982 0.364 0.750
0.720 0.720 0.000
0.640 0.883 0.999
0.500 0.000 0.000
0.364 0.982 0.250
0.117 0.360 0.501
0.317 0.930 0.926
0.209 0.607 0.750
0.070 0.683 0.574
0.280 0.280 0.500
0.393 0.791 0.750
0.683 0.070 0.426
0.715 0.531 0.073
0.317 0.930 0.574
0.469 0.285 0.427
0.591 0.752 0.250
0.201 0.799 0.750
0.469 0.285 0.073
0.636 0.018 0.750
0.000 0.500 0.000
0.720 0.720 0.500
0.018 0.636 0.250
0.531 0.715 0.927
0.401 0.599 0.750
```

Entry 7:
The following is a PBE calculation of crystalline TiCrAgS4 at its relaxed geometry, from the Materials Project.

Values from the calculation:
Formation energy from the elements: -6.5 eV/f.u.
E above lowest polymorph: 0.171 eV/atom
Space-group type: No. 1

```
TiCrAgS4
1.0
7.172 0.000 0.000
-0.171 11.771 0.000
-0.487 -0.192 12.468
Cr Ag S Ti
8 8 32 8
direct
0.594 0.653 0.436
0.371 0.871 0.338
0.607 0.853 0.936
0.935 0.358 0.970
0.430 0.355 0.975
0.119 0.834 0.100
0.083 0.643 0.454
0.927 0.135 0.462
0.271 0.916 0.643
0.145 0.380 0.301
0.277 0.609 0.144
0.861 0.617 0.802
0.150 0.112 0.794
0.745 0.412 0.663
0.858 0.893 0.278
0.642 0.110 0.167
0.186 0.253 0.544
0.447 0.512 0.684
0.833 0.975 0.862
0.836 0.741 0.032
0.347 0.740 0.992
0.421 0.228 0.292
0.125 0.748 0.282
0.693 0.284 0.497
0.364 0.960 0.169
0.380 0.992 0.912
0.916 0.216 0.289
0.986 0.472 0.129
0.918 0.281 0.792
0.587 0.766 0.771
0.349 0.765 0.499
0.499 0.446 0.155
0.185 0.034 0.385
0.181 0.477 0.892
0.114 0.760 0.756
0.592 0.736 0.274
0.669 0.504 0.945
0.653 0.008 0.405
0.938 0.995 0.109
0.180 0.240 0.037
0.968 0.025 0.620
0.025 0.523 0.608
0.681 0.230 0.001
0.837 0.755 0.520
0.526 0.064 0.651
0.816 0.536 0.348
0.417 0.276 0.802
0.353 0.511 0.423
0.586 0.107 0.837
0.433 0.602 0.846
0.166 0.381 0.702
0.565 0.396 0.347
0.452 0.141 0.482
0.733 0.588 0.144
0.873 0.857 0.695
0.152 0.120 0.197
```

Entry 8:
The following is a PBE calculation of crystalline SnOs2Ru at its relaxed geometry, from the Materials Project.

Values from the calculation:
Formation energy from the elements: 2.4 eV/f.u.
Space-group type: No. 216

```
SnOs2Ru
1.0
0.014 -4.227 -1.493
-3.849 -2.275 -0.324
-1.705 -0.958 -4.034
Sn Os Ru
1 2 1
direct
0.500 0.500 0.500
0.250 0.250 0.250
0.000 0.000 0.000
0.750 0.750 0.750
```

| no. | total DFT energy (no corrections) (eV/atom) |
| --- | --- |
| 1 | -6.1181 |
| 2 | -8.3196 |
| 3 | -5.2134 |
| 4 | -6.4599 |
| 5 | -2.1469 |
| 6 | -7.9046 |
| 7 | -5.9231 |
| 8 | -8.3427 |